No. 1
H4PbI3N | PBE | optimized geometry Values from VASP.

The value obtained for the energy of formation from the pure elements is -0.509 eV per atom. For the volume, the calculation gives 258.32 Å³/f.u. As for the space group: Cm (8). Its energy relative to the lowest polymorph listed for this composition is 4.0 kJ/mol of atoms.

Quantum ESPRESSO input file:
```
&SYSTEM
  ibrav = 0, nat = 9, ntyp = 4
/
ATOMIC_SPECIES
H 1.01 H.upf
Pb 207.20 Pb.upf
I 126.90 I.upf
N 14.01 N.upf
ATOMIC_POSITIONS crystal
H 0.0000 0.0000 0.0000
H 0.0282 0.8444 0.7873
H 0.0991 0.0991 0.7776
H 0.8444 0.0282 0.7873
Pb 0.4987 0.4987 0.3289
I 0.4871 0.9983 0.3328
I 0.5045 0.5045 0.8293
I 0.9983 0.4871 0.3328
N 0.9930 0.9930 0.8382
CELL_PARAMETERS angstrom
4.4810 -4.5227 0.0000
4.4810 4.5227 0.0000
-0.1097 0.0000 6.3731
```

No. 2
MgP3H16C3NO12 | PBE | optimized geometry Values from VASP.

The value obtained for the energy of formation from the pure elements is -1.367 eV per atom. For the volume, the calculation gives 339.92 Å³/f.u. As for the space group: P2_1/c (14).

Quantum ESPRESSO input file:
```
&SYSTEM
  ibrav = 0, nat = 144, ntyp = 6
/
ATOMIC_SPECIES
Mg 24.30 Mg.upf
P 30.97 P.upf
H 1.01 H.upf
C 12.01 C.upf
N 14.01 N.upf
O 16.00 O.upf
ATOMIC_POSITIONS crystal
Mg 0.0384 0.2102 0.1701
Mg 0.0384 0.2898 0.6701
Mg 0.9616 0.7102 0.3299
Mg 0.9616 0.7898 0.8299
P 0.0391 0.1205 0.8806
P 0.0391 0.3795 0.3806
P 0.3296 0.7163 0.0101
P 0.3296 0.7837 0.5101
P 0.4398 0.0370 0.7161
P 0.4398 0.4630 0.2161
P 0.5602 0.5370 0.7839
P 0.5602 0.9630 0.2839
P 0.6704 0.2163 0.4899
P 0.6704 0.2837 0.9899
P 0.9609 0.6205 0.6194
P 0.9609 0.8795 0.1194
H 0.0921 0.5749 0.8756
H 0.0921 0.9251 0.3756
H 0.0945 0.0022 0.2495
H 0.0945 0.4978 0.7495
H 0.1032 0.6677 0.1464
H 0.1032 0.8323 0.6464
H 0.1812 0.6103 0.2868
H 0.1812 0.8897 0.7868
H 0.1839 0.2324 0.5063
H 0.1839 0.2676 0.0063
H 0.2502 0.7019 0.7397
H 0.2502 0.7981 0.2397
H 0.2623 0.1807 0.6623
H 0.2623 0.3193 0.1623
H 0.2625 0.0832 0.8677
H 0.2625 0.4168 0.3677
H 0.2748 0.1120 0.4099
H 0.2748 0.3880 0.9099
H 0.2824 0.5704 0.6043
H 0.2824 0.9296 0.1043
H 0.2969 0.0230 0.1984
H 0.2969 0.4770 0.6984
H 0.3470 0.5487 0.9232
H 0.3470 0.9513 0.4232
H 0.3527 0.1659 0.3280
H 0.3527 0.3341 0.8280
H 0.4218 0.5966 0.2302
H 0.4218 0.9034 0.7302
H 0.4525 0.6751 0.8530
H 0.4525 0.8249 0.3530
H 0.4826 0.6685 0.5850
H 0.4826 0.8315 0.0850
H 0.5174 0.1685 0.9150
H 0.5174 0.3315 0.4150
H 0.5475 0.1751 0.6470
H 0.5475 0.3249 0.1470
H 0.5782 0.0966 0.2698
H 0.5782 0.4034 0.7698
H 0.6473 0.6659 0.1720
H 0.6473 0.8341 0.6720
H 0.6530 0.0487 0.5768
H 0.6530 0.4513 0.0768
H 0.7031 0.5230 0.3016
H 0.7031 0.9770 0.8016
H 0.7176 0.0704 0.8957
H 0.7176 0.4296 0.3957
H 0.7252 0.6120 0.0901
H 0.7252 0.8880 0.5901
H 0.7375 0.5832 0.6323
H 0.7375 0.9168 0.1323
H 0.7377 0.6807 0.8377
H 0.7377 0.8193 0.3377
H 0.7498 0.2019 0.7603
H 0.7498 0.2981 0.2603
H 0.8161 0.7324 0.9937
H 0.8161 0.7676 0.4937
H 0.8188 0.1103 0.2132
H 0.8188 0.3897 0.7132
H 0.8968 0.1677 0.3536
H 0.8968 0.3323 0.8536
H 0.9055 0.5022 0.2505
H 0.9055 0.9978 0.7505
H 0.9079 0.0749 0.6244
H 0.9079 0.4251 0.1244
C 0.1128 0.5629 0.7764
C 0.1128 0.9371 0.2764
C 0.3301 0.6692 0.8415
C 0.3301 0.8308 0.3415
C 0.3408 0.5400 0.7132
C 0.3408 0.9600 0.2132
C 0.6592 0.0400 0.7868
C 0.6592 0.4600 0.2868
C 0.6699 0.1692 0.6585
C 0.6699 0.3308 0.1585
C 0.8872 0.0629 0.7236
C 0.8872 0.4371 0.2236
N 0.2873 0.5801 0.8206
N 0.2873 0.9199 0.3206
N 0.7127 0.0801 0.6794
N 0.7127 0.4199 0.1794
O 0.0004 0.1194 0.0138
O 0.0004 0.3806 0.5138
O 0.9996 0.6194 0.4862
O 0.9996 0.8806 0.9862
O 0.0609 0.2037 0.8259
O 0.0609 0.2963 0.3259
O 0.0856 0.6422 0.2282
O 0.0856 0.8578 0.7282
O 0.1598 0.7215 0.9945
O 0.1598 0.7785 0.4945
O 0.1906 0.2260 0.6074
O 0.1906 0.2740 0.1074
O 0.1918 0.0649 0.9149
O 0.1918 0.4351 0.4149
O 0.2497 0.1547 0.3320
O 0.2497 0.3453 0.8320
O 0.3679 0.0363 0.5461
O 0.3679 0.4637 0.0461
O 0.3877 0.1078 0.7869
O 0.3877 0.3922 0.2869
O 0.3944 0.6961 0.4965
O 0.3944 0.8039 0.9965
O 0.4065 0.5449 0.2821
O 0.4065 0.9551 0.7821
O 0.4477 0.6703 0.1470
O 0.4477 0.8297 0.6470
O 0.5523 0.1703 0.3530
O 0.5523 0.3297 0.8530
O 0.5935 0.0449 0.2179
O 0.5935 0.4551 0.7179
O 0.6056 0.1961 0.0035
O 0.6056 0.3039 0.5035
O 0.6123 0.6078 0.7131
O 0.6123 0.8922 0.2131
O 0.6321 0.5363 0.9539
O 0.6321 0.9637 0.4539
O 0.7503 0.6547 0.1680
O 0.7503 0.8453 0.6680
O 0.8082 0.5649 0.5851
O 0.8082 0.9351 0.0851
O 0.8094 0.7260 0.8926
O 0.8094 0.7740 0.3926
O 0.8402 0.2215 0.5055
O 0.8402 0.2785 0.0055
O 0.9144 0.1422 0.2718
O 0.9144 0.3578 0.7718
O 0.9391 0.7037 0.6741
O 0.9391 0.7963 0.1741
CELL_PARAMETERS angstrom
9.2976 0.0000 0.0000
0.0000 16.3942 0.0000
-4.2996 0.0000 8.9203
```

No. 3
NaNdS2O8 | PBE | optimized geometry Values from VASP.

The value obtained for the energy of formation from the pure elements is -2.508 eV per atom. For the volume, the calculation gives 149.53 Å³/f.u. As for the space group: P-1 (2). Its energy relative to the lowest polymorph listed for this composition is 1.3 kJ/mol of atoms.

Quantum ESPRESSO input file:
```
&SYSTEM
  ibrav = 0, nat = 24, ntyp = 4
/
ATOMIC_SPECIES
Na 22.99 Na.upf
Nd 144.24 Nd.upf
S 32.06 S.upf
O 16.00 O.upf
ATOMIC_POSITIONS crystal
Na 0.0884 0.2231 0.1550
Na 0.9116 0.7769 0.8450
Nd 0.3783 0.2713 0.6753
Nd 0.6217 0.7287 0.3247
S 0.1236 0.7047 0.3390
S 0.3955 0.7946 0.8209
S 0.6045 0.2054 0.1791
S 0.8764 0.2953 0.6610
O 0.0143 0.6312 0.1814
O 0.0412 0.2394 0.5118
O 0.2292 0.9738 0.8617
O 0.2298 0.8756 0.2788
O 0.2944 0.6190 0.7947
O 0.3038 0.5414 0.4112
O 0.4422 0.2547 0.0276
O 0.4956 0.1421 0.3578
O 0.5044 0.8579 0.6422
O 0.5578 0.7453 0.9724
O 0.6962 0.4586 0.5888
O 0.7056 0.3810 0.2053
O 0.7702 0.1244 0.7212
O 0.7708 0.0262 0.1383
O 0.9588 0.7606 0.4882
O 0.9857 0.3688 0.8186
CELL_PARAMETERS angstrom
6.4159 0.0000 0.0000
1.3074 6.6055 0.0000
0.1468 0.4013 7.0566
```

No. 4
Mg14CoNi | PBE | optimized geometry Values from VASP.

The value obtained for the energy of formation from the pure elements is 0.063 eV per atom. For the volume, the calculation gives 324.33 Å³/f.u. As for the space group: Amm2 (38). Its energy relative to the lowest polymorph listed for this composition is 0.0 kJ/mol of atoms.

Quantum ESPRESSO input file:
```
&SYSTEM
  ibrav = 0, nat = 16, ntyp = 3
/
ATOMIC_SPECIES
Mg 24.30 Mg.upf
Co 58.93 Co.upf
Ni 58.69 Ni.upf
ATOMIC_POSITIONS crystal
Mg 0.0000 0.0000 0.0000
Mg 0.0000 0.0066 0.5051
Mg 0.0000 0.4998 0.4998
Mg 0.0000 0.5051 0.0066
Mg 0.2522 0.6706 0.6706
Mg 0.2529 0.1696 0.1696
Mg 0.2892 0.1817 0.6835
Mg 0.2892 0.6835 0.1817
Mg 0.5000 0.4734 0.9760
Mg 0.5000 0.9760 0.4734
Mg 0.7108 0.1817 0.6835
Mg 0.7108 0.6835 0.1817
Mg 0.7471 0.1696 0.1696
Mg 0.7478 0.6706 0.6706
Co 0.5000 0.0166 0.0166
Ni 0.5000 0.5172 0.5172
CELL_PARAMETERS angstrom
9.5976 0.0000 0.0000
0.0000 3.1766 5.3192
0.0000 -3.1766 5.3192
```

No. 5
YLuIr2 | PBE | optimized geometry Values from VASP.

The value obtained for the energy of formation from the pure elements is -0.887 eV per atom. For the volume, the calculation gives 78.60 Å³/f.u. As for the space group: Fm-3m (225).

Quantum ESPRESSO input file:
```
&SYSTEM
  ibrav = 0, nat = 4, ntyp = 3
/
ATOMIC_SPECIES
Y 88.91 Y.upf
Lu 174.97 Lu.upf
Ir 192.22 Ir.upf
ATOMIC_POSITIONS crystal
Y 0.0000 0.0000 0.0000
Lu 0.5000 0.5000 0.5000
Ir 0.2500 0.2500 0.2500
Ir 0.7500 0.7500 0.7500
CELL_PARAMETERS angstrom
0.0000 3.3999 3.3999
3.3999 0.0000 3.3999
3.3999 3.3999 0.0000
```

Q: What is the energy of formation from the pure elements in the second record?
A: -1.367 eV per atom

Q: Which formula does entry 2 have?
A: MgP3H16C3NO12